First-principles (PBE) data for an optimized crystal structure of Nd2TlIn, as listed in Materials Project.

Calculated values
Symmetry: Fm-3m, No. 225

Cell lengths 5.5152, 5.5152, 5.5152 Å; angles 60.00, 60.00, 60.00 degrees
With the nearest neighbours (Å) after each atom.
Atoms (fractional coordinates):
Nd  0.2500  0.2500  0.2500  4 Tl 3.38, 4 In 3.38
Nd  0.7500  0.7500  0.7500  4 Tl 3.38, 4 In 3.38
Tl  0.0000  0.0000  0.0000  8 Nd 3.38
In  0.5000  0.5000  0.5000  8 Nd 3.38

First-principles (PBE) data for an optimized crystal structure of GaB2N3, as listed in Materials Project.

Calculated values
Magnetic moment, Bohr magnetons per cell: 0.00
Symmetry: C2/c, No. 15
MP2020-corrected energy, Ry per atom: -0.569

Cell lengths 5.0006, 8.7559, 11.4897 Å; angles 90.00, 90.11, 151.10 degrees
With the nearest neighbours (Å) after each atom.
Atoms (fractional coordinates):
B  0.5304  0.5864  0.2085  2 N 1.37-1.48
B  0.1836  0.8175  0.0501  3 N 1.40-1.52
B  0.5304  0.9441  0.7085  2 N 1.37-1.48
B  0.4696  0.0559  0.2915  2 N 1.37-1.48
B  0.8164  0.6340  0.4499  3 N 1.40-1.52
B  0.4696  0.4136  0.7915  2 N 1.37-1.48
B  0.8164  0.1825  0.9499  3 N 1.40-1.52
B  0.1836  0.3660  0.5501  3 N 1.40-1.52
N  0.0000  0.9301  0.2500  2 B 1.56
N  0.2646  0.4270  0.8745  2 B 1.40-1.48
N  0.0000  0.3274  0.2500  2 B 1.37
N  0.7353  0.5730  0.1255  2 B 1.40-1.48
N  0.6281  0.9385  0.0035  2 B 1.49-1.52
N  0.0000  0.0699  0.7500  2 B 1.56
N  0.0000  0.6726  0.7500  2 B 1.37
N  0.3719  0.3104  0.4965  2 B 1.49-1.52
N  0.7353  0.1623  0.6255  2 B 1.40-1.48
N  0.6281  0.6896  0.5035  2 B 1.49-1.52
N  0.2646  0.8377  0.3745  2 B 1.40-1.48
N  0.3719  0.0615  0.9965  2 B 1.49-1.52
Ga  0.7508  0.8352  0.8883  4 N 1.87-2.08
Ga  0.2492  0.1648  0.1117  4 N 1.87-2.08
Ga  0.2492  0.0844  0.6117  4 N 1.87-2.08
Ga  0.7508  0.9156  0.3883  4 N 1.87-2.08

First-principles (PBE) data for an optimized crystal structure of KTeO7, as listed in Materials Project.

Calculated values
Magnetic moment, Bohr magnetons per cell: 12.20
Symmetry: P2_1/c, No. 14
MP2020-corrected energy, Ry per atom: -0.365

Cell lengths 9.0991, 5.9961, 14.1308 Å; angles 90.00, 100.67, 90.00 degrees
With the nearest neighbours (Å) after each atom.
Atoms (fractional coordinates):
O  0.8502  0.7300  0.0412  1 O 1.26
O  0.2157  0.0857  0.9738  1 O 1.26
O  0.1066  0.1222  0.6532  1 O 1.23
O  0.4300  0.7807  0.8867  1 Te 1.85
O  0.2662  0.4704  0.9666  1 O 1.59
O  0.2662  0.0296  0.4666  1 O 1.59
O  0.7843  0.5857  0.5262  1 O 1.26
O  0.1498  0.2700  0.9588  1 O 1.26
O  0.2157  0.4143  0.4738  1 O 1.26
O  0.5700  0.2193  0.1133  1 Te 1.85
O  0.1710  0.9402  0.6633  1 O 1.23
O  0.8934  0.6222  0.8468  1 O 1.23
O  0.8290  0.4402  0.8367  1 O 1.23
O  0.8934  0.8778  0.3468  1 O 1.23
O  0.2843  0.0580  0.2592  1 Te 1.85
O  0.1066  0.3778  0.1532  1 O 1.23
O  0.8290  0.0598  0.3367  1 O 1.23
O  0.1498  0.2300  0.4588  1 O 1.26
O  0.4300  0.7193  0.3867  1 Te 1.85
O  0.5700  0.2807  0.6133  1 Te 1.85
O  0.7843  0.9143  0.0262  1 O 1.26
O  0.8502  0.7700  0.5412  1 O 1.26
O  0.2843  0.4420  0.7592  1 Te 1.85
O  0.7338  0.5296  0.0334  1 O 1.59
O  0.7157  0.9420  0.7408  1 Te 1.85
O  0.7338  0.9704  0.5334  1 O 1.59
O  0.1710  0.5598  0.1633  1 O 1.23
O  0.7157  0.5580  0.2408  1 Te 1.85
K  0.4662  0.6950  0.6241  2 O 2.67-2.95
K  0.4662  0.8050  0.1241  2 O 2.67-2.95
K  0.5338  0.3050  0.3759  2 O 2.67-2.95
K  0.5338  0.1950  0.8759  2 O 2.67-2.95
Te  0.2430  0.6601  0.8426  2 O 1.85
Te  0.7570  0.1601  0.6574  2 O 1.85
Te  0.7570  0.3399  0.1574  2 O 1.85
Te  0.2430  0.8399  0.3426  2 O 1.85

Summary of energy of formation from the pure elements in meV per atom
-436; -842; -648
(order as listed above)